[1]
Density functional theory data (PBE) for NiS2 after structural relaxation.

* energy of formation from the pure elements: -0.1248 eV per atom
* crystal system: cubic
* uncorrected energy: -13.422 eV per formula unit

Cell lengths 5.693, 5.693, 5.693 Å; angles 90.00, 90.00, 90.00 degrees
Space group Fm-3m (No. 225)
One atom of each set of equivalent atoms:
Ni 0.000 0.000 0.000 x4
S 0.250 0.250 0.250 x8

[2]
Density functional theory data (PBE) for RbScO2 after structural relaxation.

* energy of formation from the pure elements: -3.0006 eV per atom
* crystal system: hexagonal
* uncorrected energy: -27.837 eV per formula unit

Cell lengths 3.2850, 3.2850, 12.8809 Å; angles 90.00, 90.00, 120.00 degrees
Space group P6_3/mmc (No. 194)
One atom of each set of equivalent atoms:
Rb 0.3333 0.6667 0.2500 x2
Sc 0.0000 0.0000 0.0000 x2
O 0.3333 0.6667 0.5840 x4

Question: Which formula does entry 2 have?
Answer: RbScO2